The following is a DFT calculation (r2SCAN) of crystalline LaSi3Rh at its relaxed geometry.

```
data_LaSi3Rh
_chemical_formula_sum 'La2 Si6 Rh2'
_symmetry_space_group_name_H-M 'I 4 m m'
_symmetry_Int_Tables_number 107
_symmetry_space_group_name_Hall 'I 4 -2'
_cell_length_a 4.270
_cell_length_b 4.270
_cell_length_c 9.869
_cell_angle_alpha 90.00
_cell_angle_beta 90.00
_cell_angle_gamma 90.00
loop_
_atom_site_label
_atom_site_fract_x
_atom_site_fract_y
_atom_site_fract_z
La1 0.000 0.000 0.000
Si1 0.000 0.000 0.412
Si2 0.000 0.500 0.263
Rh1 0.000 0.000 0.655
```

Computed properties:
* E: -0.6213 Ha/atom
* volume: 179.9 Å³ per cell
* energy of formation: -0.8658 eV per atom


The following is a DFT calculation (r2SCAN) of crystalline LaSnRh at its relaxed geometry.

```
data_LaSnRh
_chemical_formula_sum 'La3 Sn3 Rh3'
_symmetry_space_group_name_H-M 'P -6 2 m'
_symmetry_Int_Tables_number 189
_symmetry_space_group_name_Hall 'P -6 -2'
_cell_length_a 7.5096
_cell_length_b 7.5096
_cell_length_c 4.2470
_cell_angle_alpha 90.00
_cell_angle_beta 90.00
_cell_angle_gamma 120.00
loop_
_atom_site_label
_atom_site_fract_x
_atom_site_fract_y
_atom_site_fract_z
La1 0.0000 0.5838 0.0000
Sn1 0.0000 0.2453 0.5000
Rh1 0.0000 0.0000 0.0000
Rh2 0.3333 0.6667 0.5000
```

Computed properties:
* E: -0.9979 Ha/atom
* volume: 207.4 Å³ per cell
* energy of formation: -0.9439 eV per atom


The following is a DFT calculation (r2SCAN) of crystalline LaSn2Rh at its relaxed geometry.

```
data_LaSn2Rh
_chemical_formula_sum 'La8 Sn16 Rh8'
_symmetry_space_group_name_H-M 'C m c m'
_symmetry_Int_Tables_number 63
_symmetry_space_group_name_Hall '-C 2c 2'
_cell_length_a 4.656
_cell_length_b 17.251
_cell_length_c 9.705
_cell_angle_alpha 90.00
_cell_angle_beta 90.00
_cell_angle_gamma 90.00
loop_
_atom_site_label
_atom_site_fract_x
_atom_site_fract_y
_atom_site_fract_z
La1 0.000 0.000 0.000
La2 0.000 0.205 0.250
Sn1 0.000 0.198 0.590
Sn2 0.000 0.409 0.250
Sn3 0.000 0.426 0.750
Rh1 0.000 0.353 0.504
```

Computed properties:
* E: -0.9810 Ha/atom
* volume: 779.6 Å³ per cell
* energy of formation: -0.8499 eV per atom


The following is a DFT calculation (r2SCAN) of crystalline LaYbRh2 at its relaxed geometry.

```
data_LaYbRh2
_chemical_formula_sum 'La4 Yb4 Rh8'
_symmetry_space_group_name_H-M 'F m -3 m'
_symmetry_Int_Tables_number 225
_symmetry_space_group_name_Hall '-F 4 2 3'
_cell_length_a 6.936
_cell_length_b 6.936
_cell_length_c 6.936
_cell_angle_alpha 90.00
_cell_angle_beta 90.00
_cell_angle_gamma 90.00
loop_
_atom_site_label
_atom_site_fract_x
_atom_site_fract_y
_atom_site_fract_z
La1 0.000 0.000 0.000
Yb1 0.000 0.000 0.500
Rh1 0.250 0.250 0.250
```

Computed properties:
* E: -1.0817 Ha/atom
* volume: 333.7 Å³ per cell
* energy of formation: -0.7971 eV per atom


The following is a DFT calculation (r2SCAN) of crystalline LaZnRh at its relaxed geometry.

```
data_LaZnRh
_chemical_formula_sum 'La8 Zn8 Rh8'
_symmetry_space_group_name_H-M 'P n m a'
_symmetry_Int_Tables_number 62
_cell_length_a 7.484
_cell_length_b 4.018
_cell_length_c 16.453
_cell_angle_alpha 90.00
_cell_angle_beta 90.00
_cell_angle_gamma 90.00
loop_
_symmetry_equiv_pos_as_xyz
'x,y,z'
'-x,-y,-z'
'-x+1/2,-y,z+1/2'
'x+1/2,y,-z+1/2'
'x+1/2,-y+1/2,-z+1/2'
'-x+1/2,y+1/2,z+1/2'
'-x,y+1/2,-z'
'x,-y+1/2,z'
loop_
_atom_site_label
_atom_site_fract_x
_atom_site_fract_y
_atom_site_fract_z
La1 0.048 0.250 0.217
La2 0.174 0.250 0.441
Zn1 0.001 0.750 0.058
Zn2 0.127 0.250 0.648
Rh1 0.238 0.250 0.067
Rh2 0.248 0.250 0.816
```

Computed properties:
* E: -0.7953 Ha/atom
* volume: 494.8 Å³ per cell
* energy of formation: -0.7094 eV per atom


The following is a DFT calculation (r2SCAN) of crystalline LaSi3Ru at its relaxed geometry.

```
data_LaSi3Ru
_chemical_formula_sum 'La2 Si6 Ru2'
_symmetry_space_group_name_H-M 'I 4 m m'
_symmetry_Int_Tables_number 107
_symmetry_space_group_name_Hall 'I 4 -2'
_cell_length_a 4.265
_cell_length_b 4.265
_cell_length_c 9.964
_cell_angle_alpha 90.00
_cell_angle_beta 90.00
_cell_angle_gamma 90.00
loop_
_atom_site_label
_atom_site_fract_x
_atom_site_fract_y
_atom_site_fract_z
La1 0.000 0.000 0.000
Si1 0.000 0.000 0.418
Si2 0.000 0.500 0.261
Ru1 0.000 0.000 0.656
```

Computed properties:
* E: -0.6259 Ha/atom
* volume: 181.3 Å³ per cell
* energy of formation: -0.7322 eV per atom